Record 1
MgNi2Bi2O6: optimized geometry, GGA+U.

Output
Energy above the lowest structure with this stoichiometry, meV per atom: 88

a b c (Å): 6.204 6.204 6.204
angles (deg): 55.66 55.66 55.66
Fractional coordinates of all 11 atoms:
Mg  0.000  0.000  0.000
Ni  0.420  0.420  0.420
Ni  0.818  0.818  0.818
Bi  0.228  0.228  0.228
Bi  0.613  0.613  0.613
O  0.080  0.630  0.285
O  0.196  0.569  0.755
O  0.285  0.080  0.630
O  0.569  0.755  0.196
O  0.630  0.285  0.080
O  0.755  0.196  0.569

---

Record 2
V3Pb5ClO12: optimized geometry, GGA+U.

a b c (Å): 10.620 10.620 7.326
angles (deg): 90.00 90.00 120.00
Fractional coordinates of all 42 atoms:
V  0.029  0.414  0.250
V  0.384  0.971  0.250
V  0.414  0.384  0.750
V  0.586  0.616  0.250
V  0.616  0.029  0.750
V  0.971  0.586  0.750
Pb  0.023  0.762  0.250
Pb  0.238  0.261  0.250
Pb  0.261  0.023  0.750
Pb  0.333  0.667  0.509
Pb  0.333  0.667  0.991
Pb  0.667  0.333  0.009
Pb  0.667  0.333  0.491
Pb  0.739  0.977  0.250
Pb  0.762  0.739  0.750
Pb  0.977  0.238  0.750
Cl  0.000  0.000  0.000
Cl  0.000  0.000  0.500
O  0.091  0.361  0.061
O  0.091  0.361  0.439
O  0.124  0.607  0.250
O  0.159  0.656  0.750
O  0.270  0.909  0.061
O  0.270  0.909  0.439
O  0.344  0.503  0.750
O  0.361  0.270  0.561
O  0.361  0.270  0.939
O  0.393  0.518  0.250
O  0.482  0.876  0.250
O  0.497  0.841  0.750
O  0.503  0.159  0.250
O  0.518  0.124  0.750
O  0.607  0.482  0.750
O  0.639  0.730  0.061
O  0.639  0.730  0.439
O  0.656  0.497  0.250
O  0.730  0.091  0.561
O  0.730  0.091  0.939
O  0.841  0.344  0.250
O  0.876  0.393  0.750
O  0.909  0.639  0.561
O  0.909  0.639  0.939

---

Record 3
Co3P4O15: optimized geometry, GGA+U.

a b c (Å): 17.838 10.582 6.324
angles (deg): 90.00 90.00 90.00
Fractional coordinates of all 88 atoms:
Co  0.129  0.003  0.000
Co  0.162  0.494  0.020
Co  0.239  0.756  0.729
Co  0.261  0.256  0.229
Co  0.338  0.994  0.520
Co  0.371  0.503  0.500
Co  0.629  0.497  0.000
Co  0.662  0.006  0.020
Co  0.739  0.744  0.729
Co  0.761  0.244  0.229
Co  0.838  0.506  0.520
Co  0.871  0.997  0.500
P  0.050  0.271  0.057
P  0.073  0.734  0.875
P  0.182  0.021  0.501
P  0.210  0.497  0.515
P  0.290  0.997  0.015
P  0.318  0.521  0.001
P  0.427  0.234  0.375
P  0.450  0.771  0.557
P  0.550  0.229  0.057
P  0.573  0.766  0.875
P  0.682  0.479  0.501
P  0.710  0.003  0.515
P  0.790  0.503  0.015
P  0.818  0.979  0.001
P  0.927  0.266  0.375
P  0.950  0.729  0.557
O  0.008  0.296  0.279
O  0.009  0.342  0.884
O  0.047  0.128  0.017
O  0.063  0.858  0.995
O  0.088  0.619  0.016
O  0.131  0.318  0.095
O  0.132  0.742  0.698
O  0.133  0.999  0.307
O  0.135  0.041  0.702
O  0.159  0.519  0.328
O  0.164  0.466  0.711
O  0.230  0.890  0.965
O  0.237  0.116  0.046
O  0.237  0.904  0.534
O  0.241  0.130  0.467
O  0.259  0.630  0.967
O  0.263  0.404  0.034
O  0.263  0.616  0.546
O  0.270  0.390  0.465
O  0.336  0.966  0.211
O  0.341  0.019  0.828
O  0.365  0.541  0.202
O  0.367  0.499  0.807
O  0.368  0.242  0.198
O  0.369  0.818  0.595
O  0.412  0.119  0.516
O  0.437  0.358  0.495
O  0.453  0.628  0.517
O  0.491  0.842  0.384
O  0.492  0.796  0.779
O  0.508  0.204  0.279
O  0.509  0.158  0.884
O  0.547  0.372  0.017
O  0.563  0.642  0.995
O  0.588  0.881  0.016
O  0.631  0.182  0.095
O  0.632  0.758  0.698
O  0.633  0.501  0.307
O  0.635  0.459  0.702
O  0.659  0.981  0.328
O  0.664  0.034  0.711
O  0.730  0.610  0.965
O  0.737  0.384  0.046
O  0.737  0.596  0.534
O  0.741  0.370  0.467
O  0.759  0.870  0.967
O  0.763  0.096  0.034
O  0.763  0.884  0.546
O  0.770  0.110  0.465
O  0.836  0.534  0.211
O  0.841  0.481  0.828
O  0.865  0.959  0.202
O  0.867  0.001  0.807
O  0.868  0.258  0.198
O  0.869  0.682  0.595
O  0.912  0.381  0.516
O  0.937  0.142  0.495
O  0.953  0.872  0.517
O  0.991  0.658  0.384
O  0.992  0.704  0.779

---

Record 4
Li2NiS2O8: optimized geometry, GGA+U.

a b c (Å): 9.140 13.741 9.259
angles (deg): 90.00 90.00 90.00
Fractional coordinates of all 104 atoms:
Li  0.044  0.128  0.226
Li  0.044  0.372  0.726
Li  0.220  0.627  0.466
Li  0.220  0.873  0.966
Li  0.280  0.127  0.466
Li  0.280  0.373  0.966
Li  0.456  0.628  0.226
Li  0.456  0.872  0.726
Li  0.544  0.128  0.274
Li  0.544  0.372  0.774
Li  0.720  0.627  0.034
Li  0.720  0.873  0.534
Li  0.780  0.127  0.034
Li  0.780  0.373  0.534
Li  0.956  0.628  0.274
Li  0.956  0.872  0.774
Ni  0.103  0.622  0.862
Ni  0.103  0.878  0.362
Ni  0.397  0.122  0.862
Ni  0.397  0.378  0.362
Ni  0.603  0.622  0.638
Ni  0.603  0.878  0.138
Ni  0.897  0.122  0.638
Ni  0.897  0.378  0.138
S  0.069  0.227  0.925
S  0.069  0.273  0.425
S  0.187  0.509  0.161
S  0.187  0.991  0.661
S  0.313  0.009  0.161
S  0.313  0.491  0.661
S  0.431  0.727  0.925
S  0.431  0.773  0.425
S  0.569  0.227  0.575
S  0.569  0.273  0.075
S  0.687  0.509  0.339
S  0.687  0.991  0.839
S  0.813  0.009  0.339
S  0.813  0.491  0.839
S  0.931  0.727  0.575
S  0.931  0.773  0.075
O  0.002  0.152  0.018
O  0.002  0.348  0.518
O  0.011  0.222  0.775
O  0.011  0.278  0.275
O  0.031  0.006  0.704
O  0.031  0.494  0.204
O  0.037  0.171  0.477
O  0.037  0.329  0.977
O  0.201  0.523  0.002
O  0.201  0.977  0.502
O  0.228  0.582  0.689
O  0.228  0.918  0.189
O  0.233  0.222  0.926
O  0.233  0.278  0.426
O  0.242  0.594  0.243
O  0.242  0.906  0.743
O  0.258  0.094  0.243
O  0.258  0.406  0.743
O  0.267  0.722  0.926
O  0.267  0.778  0.426
O  0.272  0.082  0.689
O  0.272  0.418  0.189
O  0.299  0.023  0.002
O  0.299  0.477  0.502
O  0.463  0.671  0.477
O  0.463  0.829  0.977
O  0.469  0.506  0.704
O  0.469  0.994  0.204
O  0.489  0.722  0.775
O  0.489  0.778  0.275
O  0.498  0.652  0.018
O  0.498  0.848  0.518
O  0.502  0.152  0.482
O  0.502  0.348  0.982
O  0.511  0.222  0.725
O  0.511  0.278  0.225
O  0.531  0.006  0.796
O  0.531  0.494  0.296
O  0.537  0.171  0.023
O  0.537  0.329  0.523
O  0.701  0.523  0.498
O  0.701  0.977  0.998
O  0.728  0.582  0.811
O  0.728  0.918  0.311
O  0.733  0.222  0.574
O  0.733  0.278  0.074
O  0.742  0.594  0.257
O  0.742  0.906  0.757
O  0.758  0.094  0.257
O  0.758  0.406  0.757
O  0.767  0.722  0.574
O  0.767  0.778  0.074
O  0.772  0.082  0.811
O  0.772  0.418  0.311
O  0.799  0.023  0.498
O  0.799  0.477  0.998
O  0.963  0.671  0.023
O  0.963  0.829  0.523
O  0.969  0.506  0.796
O  0.969  0.994  0.296
O  0.989  0.722  0.725
O  0.989  0.778  0.225
O  0.998  0.652  0.482
O  0.998  0.848  0.982

---

Record 5
Li3V3P8O29: optimized geometry, GGA+U.

Output
Energy above the lowest structure with this stoichiometry, meV per atom: 11

a b c (Å): 9.753 9.775 14.201
angles (deg): 89.93 89.69 60.09
Fractional coordinates of all 86 atoms:
Li  0.000  0.000  0.000
Li  0.003  0.415  0.493
Li  0.074  0.240  0.884
Li  0.460  0.408  0.999
Li  0.723  0.350  0.435
Li  0.865  0.993  0.497
V  0.209  0.322  0.688
V  0.212  0.884  0.197
V  0.339  0.317  0.195
V  0.339  0.752  0.685
V  0.771  0.753  0.186
V  0.771  0.883  0.696
P  0.005  0.001  0.782
P  0.080  0.097  0.600
P  0.092  0.229  0.100
P  0.102  0.656  0.571
P  0.109  0.654  0.072
P  0.432  0.988  0.807
P  0.442  0.985  0.310
P  0.455  0.410  0.781
P  0.467  0.541  0.283
P  0.543  0.634  0.099
P  0.554  0.232  0.600
P  0.685  0.094  0.101
P  0.691  0.628  0.601
P  0.857  0.006  0.283
P  0.857  0.546  0.786
P  0.993  0.410  0.279
O  0.015  0.073  0.873
O  0.021  0.308  0.010
O  0.029  0.973  0.270
O  0.030  0.403  0.776
O  0.096  0.506  0.612
O  0.097  0.655  0.467
O  0.106  0.660  0.967
O  0.112  0.801  0.116
O  0.114  0.237  0.600
O  0.115  0.059  0.105
O  0.153  0.410  0.266
O  0.155  0.842  0.761
O  0.237  0.938  0.610
O  0.250  0.223  0.122
O  0.253  0.651  0.614
O  0.256  0.501  0.112
O  0.285  0.141  0.763
O  0.290  0.989  0.266
O  0.293  0.419  0.758
O  0.309  0.702  0.273
O  0.390  0.794  0.120
O  0.392  0.235  0.614
O  0.424  0.994  0.911
O  0.425  0.408  0.271
O  0.428  0.846  0.760
O  0.430  0.578  0.769
O  0.437  0.991  0.414
O  0.441  0.136  0.265
O  0.515  0.238  0.101
O  0.515  0.334  0.874
O  0.516  0.666  0.606
O  0.533  0.553  0.014
O  0.560  0.522  0.369
O  0.567  0.313  0.516
O  0.569  0.526  0.191
O  0.572  0.310  0.697
O  0.585  0.983  0.763
O  0.586  0.840  0.264
O  0.678  0.940  0.116
O  0.684  0.665  0.104
O  0.690  0.057  0.605
O  0.692  0.785  0.614
O  0.760  0.120  0.197
O  0.770  0.526  0.695
O  0.776  0.554  0.875
O  0.778  0.531  0.517
O  0.781  0.087  0.017
O  0.790  0.087  0.374
O  0.855  0.581  0.269
O  0.856  0.850  0.267
O  0.859  0.977  0.774
O  0.865  0.701  0.764
O  0.956  0.808  0.613
O  0.957  0.661  0.117
O  0.977  0.106  0.520
O  0.979  0.318  0.190
O  0.986  0.120  0.699
O  0.986  0.337  0.370

---

Record 6
LiMnP3O9: optimized geometry, GGA+U.

Output
Energy above the lowest structure with this stoichiometry, meV per atom: 1

a b c (Å): 8.566 8.784 8.887
angles (deg): 90.00 90.00 90.00
Fractional coordinates of all 56 atoms:
Li  0.153  0.136  0.386
Li  0.347  0.864  0.886
Li  0.653  0.364  0.614
Li  0.847  0.636  0.114
Mn  0.128  0.856  0.164
Mn  0.372  0.144  0.664
Mn  0.628  0.644  0.836
Mn  0.872  0.356  0.336
P  0.029  0.324  0.681
P  0.191  0.476  0.189
P  0.199  0.808  0.565
P  0.301  0.192  0.065
P  0.309  0.524  0.689
P  0.471  0.676  0.181
P  0.529  0.176  0.319
P  0.691  0.024  0.811
P  0.699  0.692  0.435
P  0.801  0.308  0.935
P  0.809  0.976  0.311
P  0.971  0.824  0.819
O  0.038  0.775  0.657
O  0.092  0.606  0.134
O  0.103  0.877  0.918
O  0.127  0.381  0.317
O  0.130  0.198  0.621
O  0.138  0.465  0.735
O  0.157  0.862  0.410
O  0.194  0.095  0.159
O  0.232  0.363  0.050
O  0.268  0.637  0.550
O  0.306  0.905  0.659
O  0.343  0.138  0.910
O  0.362  0.535  0.235
O  0.370  0.802  0.121
O  0.373  0.619  0.817
O  0.397  0.123  0.418
O  0.408  0.394  0.634
O  0.462  0.225  0.157
O  0.538  0.725  0.343
O  0.592  0.894  0.866
O  0.603  0.623  0.082
O  0.627  0.119  0.683
O  0.630  0.302  0.379
O  0.638  0.035  0.265
O  0.657  0.638  0.590
O  0.694  0.405  0.841
O  0.732  0.137  0.950
O  0.768  0.863  0.450
O  0.806  0.595  0.341
O  0.843  0.362  0.090
O  0.862  0.965  0.765
O  0.870  0.698  0.879
O  0.873  0.881  0.183
O  0.897  0.377  0.582
O  0.908  0.106  0.366
O  0.962  0.275  0.843

---

Record 7
K2RbLaV2O8: optimized geometry, GGA+U.

a b c (Å): 6.191 6.191 7.971
angles (deg): 90.00 90.00 120.00
Fractional coordinates of all 14 atoms:
K  0.333  0.667  0.208
K  0.667  0.333  0.792
Rb  0.000  0.000  0.500
La  0.000  0.000  0.000
V  0.333  0.667  0.744
V  0.667  0.333  0.256
O  0.179  0.358  0.821
O  0.179  0.821  0.821
O  0.333  0.667  0.532
O  0.358  0.179  0.179
O  0.642  0.821  0.821
O  0.667  0.333  0.468
O  0.821  0.179  0.179
O  0.821  0.642  0.179

---

| no. | energy of formation (eV/atom) | uncorrected energy (eV/cell) |
| --- | --- | --- |
| 1 | -1.475 | -57.7 |
| 2 | -2.032 | -272.7 |
| 3 | -1.943 | -578.9 |
| 4 | -2.033 | -606.7 |
| 5 | -2.522 | -606.4 |
| 6 | -2.634 | -403.5 |
| 7 | -2.713 | -95.0 |